LiAlSiO4 (PBE-GGA, relaxed); energy above the most stable polymorph in this dataset = 0 meV per atom; piezoelectric modulus e_max = 0.2 C/m²; total magnetic moment = 0.00 μB/atom; energy of formation from the pure elements = -3.210 eV per atom
1.0
6.8261 3.9410 3.0338
-6.8261 3.9410 3.0338
0.0000 -7.8821 3.0338
Li Al Si O
6 6 6 24
Cartesian
-5.3094 1.6936 3.0338 Li
1.1880 -5.4449 3.0338 Li
-1.1597 -2.4795 4.5224 Li
-1.5675 2.2441 4.5224 Li
2.7272 0.2355 4.5224 Li
4.1214 3.7513 3.0338 Li
-4.0607 -3.8249 4.5352 Al
-2.8053 -0.2152 3.0191 Al
1.5890 -2.3219 3.0191 Al
1.2163 2.5371 3.0191 Al
-1.2821 5.4291 4.5352 Al
5.3428 -1.6042 4.5352 Al
-1.5660 -5.5612 4.5413 Si
-4.0331 4.1368 4.5413 Si
-2.7704 -0.1112 6.0617 Si
1.4815 -2.3437 6.0617 Si
1.2889 2.4549 6.0617 Si
5.5991 1.4244 4.5413 Si
-2.3113 -4.0932 4.5464 O
-0.1513 -2.5419 2.7530 O
-4.5513 -3.1709 6.1148 O
-2.1257 1.4020 2.7530 O
-4.6396 2.6200 4.7264 O
0.0508 -5.3280 4.7264 O
-2.2722 -0.7702 4.6299 O
-4.4091 0.0473 6.0521 O
-2.3891 4.0482 4.5464 O
2.2770 1.1399 2.7530 O
-0.1458 -2.5452 6.2251 O
1.8031 -1.5827 4.6299 O
-2.1313 1.3988 6.2251 O
-2.2756 -1.0095 7.3360 O
0.4691 2.3529 4.6299 O
2.1636 -3.8421 6.0521 O
4.7005 0.0449 4.5464 O
-0.4705 5.5270 6.1148 O
2.0121 -1.4659 7.3360 O
2.2771 1.1463 6.2251 O
0.2635 2.4755 7.3360 O
5.0218 -2.3561 6.1148 O
4.5887 2.7080 4.7264 O
2.2455 3.7948 6.0521 O

Na2Al4Ga4SiS11O48 (PBE-GGA, relaxed); total magnetic moment = 0.00 μB/atom; energy of formation from the pure elements = -2.194 eV per atom
1.0
8.3993 0.0000 0.0000
-0.0077 14.5511 0.0000
-0.0118 -0.0242 21.8785
Na Al Ga Si S O
6 12 12 3 33 144
Cartesian
0.0000 0.0000 0.0000 Na
0.0030 9.6277 18.2445 Na
4.0645 2.3637 7.2114 Na
4.0859 7.2485 21.7582 Na
4.1228 7.1649 10.8403 Na
8.3646 0.0172 10.7846 Na
-0.0015 4.6994 6.7221 Al
0.0139 9.6265 21.3574 Al
4.0373 2.2894 21.4044 Al
4.0603 11.9974 17.7841 Al
4.0839 2.3503 3.8896 Al
4.0901 11.9882 0.3676 Al
4.0949 7.2335 18.6664 Al
4.1456 7.1799 3.1338 Al
8.3228 9.6431 4.0026 Al
8.3576 14.5476 3.0805 Al
8.3602 0.0035 7.6092 Al
8.3817 4.7195 0.4717 Al
4.0404 2.3765 10.3873 Ga
4.1123 12.0596 11.2799 Ga
4.1291 7.1850 7.5423 Ga
4.1436 2.3425 14.9841 Ga
4.1417 7.1759 14.1579 Ga
4.1374 12.0548 6.6858 Ga
8.2973 14.4825 14.1416 Ga
8.3226 4.7407 17.7723 Ga
8.3158 9.6063 14.9307 Ga
8.3368 9.5971 10.3830 Ga
8.3270 14.4667 18.6010 Ga
8.3603 4.6682 11.2329 Ga
1.1268 2.6431 8.9902 Si
1.7051 2.3465 1.7444 Si
2.9079 9.9402 19.9838 Si
1.1357 7.5412 1.7618 S
1.1380 11.7108 1.7663 S
1.1384 6.8814 9.0072 S
1.1547 2.0443 16.3357 S
1.1799 12.3523 16.3282 S
1.6797 12.0349 9.0136 S
1.6901 7.1664 16.3442 S
2.3501 14.4770 5.3754 S
2.3697 4.7287 19.9834 S
2.3778 9.6193 12.6817 S
2.8915 9.2975 5.3475 S
2.9093 0.2070 12.7026 S
2.9056 4.4757 12.7147 S
2.9115 5.0804 5.3555 S
2.9515 14.1482 19.9759 S
5.3312 0.2170 1.7237 S
5.3282 9.3168 16.3519 S
5.3536 4.4634 1.7366 S
5.3443 5.0920 16.3755 S
5.3451 9.9324 9.0294 S
5.3725 14.1292 9.0144 S
5.8490 14.4276 16.3566 S
5.9264 4.8047 9.0064 S
5.9321 9.6403 1.7454 S
6.5160 12.0360 19.9952 S
6.5479 2.3531 12.6831 S
6.5974 7.1965 5.3684 S
7.0568 2.6623 20.0102 S
7.0883 2.0312 5.3683 S
7.0984 11.7330 12.6728 S
7.1177 6.8365 20.0130 S
7.1189 7.4755 12.6685 S
7.1623 12.3967 5.3697 S
0.4630 3.1821 10.3788 O
0.4722 1.1634 8.8298 O
0.4826 13.0244 1.9519 O
0.4868 11.1250 0.5620 O
0.5184 6.2385 1.5509 O
0.5006 12.9142 17.5215 O
0.5173 1.4727 15.1112 O
0.5286 3.3675 16.4870 O
0.5270 6.2956 7.8169 O
0.5292 8.2260 9.1609 O
0.5376 8.1452 2.9719 O
0.5406 10.9998 16.1851 O
0.7650 1.0172 1.9211 O
0.7848 3.6484 1.5202 O
0.8133 13.2118 8.8402 O
0.8308 5.9864 16.4894 O
0.8481 8.4032 16.2129 O
0.8595 10.8211 9.1987 O
0.9069 3.6048 7.7181 O
0.9376 10.8517 2.9595 O
0.9644 8.4003 0.5644 O
0.9540 13.1560 15.0986 O
0.9758 1.1857 17.5251 O
0.9770 6.1013 10.2633 O
1.2879 9.7674 20.1537 O
1.4249 0.0683 12.8343 O
1.4406 9.4398 5.1485 O
1.4506 5.0111 5.5114 O
1.4576 4.6394 12.5777 O
1.4481 14.2722 19.8363 O
1.5023 5.0411 21.1372 O
1.5131 14.2385 4.1984 O
1.5402 0.1527 6.5992 O
1.5609 9.3483 11.4714 O
1.5655 9.8579 13.8931 O
1.5752 4.4758 18.7422 O
2.4597 6.9465 15.0909 O
2.4766 12.3203 10.2518 O
2.5235 11.7753 7.8350 O
2.5491 7.4057 17.5127 O
2.5885 11.8789 1.5899 O
2.6121 2.0450 0.4283 O
2.6121 2.6066 3.0648 O
2.6130 2.1601 16.1636 O
2.6262 7.3991 1.9419 O
2.6282 7.0345 8.8807 O
2.6275 12.2556 16.4722 O
2.7579 2.5050 9.1219 O
3.0472 8.4901 6.5932 O
3.0906 1.0329 11.4904 O
3.1146 3.6440 13.9143 O
3.1137 10.8316 18.6407 O
3.1315 13.3087 21.1768 O
3.1638 5.9498 4.1888 O
3.1919 13.2636 5.5313 O
3.2144 10.8181 12.5239 O
3.2312 3.5618 20.1628 O
3.2272 5.9373 19.7817 O
3.2289 8.4032 12.8192 O
3.2441 1.1138 5.2563 O
3.5129 0.7855 13.9127 O
3.5175 13.4237 12.5470 O
3.5286 10.6213 5.5121 O
3.5266 13.5562 18.7436 O
3.5438 5.6340 6.6033 O
3.5606 3.7565 5.2322 O
3.5521 5.8253 12.8411 O
3.5541 8.6612 4.1862 O
3.5723 3.9228 11.5065 O
3.5791 0.9161 20.1082 O
3.5835 8.4583 19.7973 O
3.6019 10.5848 21.2964 O
4.7003 5.8184 1.9293 O
4.6919 13.4507 1.5071 O
4.7016 5.7376 17.5334 O
4.6978 13.5583 7.8299 O
4.7125 3.7675 16.2100 O
4.7200 3.8826 0.5326 O
4.7093 10.4907 10.2590 O
4.7228 8.5829 8.9002 O
4.7462 0.8204 2.9481 O
4.7306 8.7642 15.0989 O
4.7639 10.6519 16.5135 O
4.8012 0.9262 9.1750 O
5.0207 5.9981 8.8842 O
5.0191 13.2373 16.5624 O
5.0370 1.0910 16.1744 O
5.0641 8.4177 1.9260 O
5.1087 10.8439 1.6010 O
5.1168 3.5680 9.1449 O
5.1344 8.4144 17.5039 O
5.1462 10.7576 7.8327 O
5.1826 3.6394 2.9551 O
5.1990 1.0902 0.5296 O
5.1891 5.8995 15.1224 O
5.1876 13.3211 10.2542 O
5.6094 2.1664 5.1965 O
5.6161 2.5038 20.2096 O
5.6327 7.3706 12.8146 O
5.6408 11.8578 12.5158 O
5.6446 6.9195 19.8062 O
5.6896 12.2421 5.5388 O
5.7184 6.9434 4.1974 O
5.7297 2.0835 11.4704 O
5.7180 12.3119 21.1942 O
5.7399 2.5452 13.9066 O
5.7411 11.8405 18.7481 O
5.7863 7.5064 6.5925 O
6.6684 5.0932 10.2590 O
6.6588 14.1577 15.1226 O
6.7153 0.1733 17.5285 O
6.7385 4.6224 7.8029 O
6.7648 9.3710 0.5444 O
6.7633 9.8335 2.9592 O
6.7846 4.6680 1.5295 O
6.7960 0.0361 1.9257 O
6.8040 9.8059 9.1966 O
6.8052 4.9529 16.5243 O
6.8254 9.4176 16.2091 O
6.8322 14.2041 8.8335 O
7.2386 3.4381 18.7467 O
7.2702 1.1762 6.5846 O
7.2772 8.3487 11.4717 O
7.2924 10.9121 13.8885 O
7.3449 5.9904 21.1847 O
7.3473 10.8144 20.1556 O
7.3630 3.5657 12.5858 O
7.3677 13.2472 4.1889 O
7.4062 1.1232 12.8097 O
7.4196 5.9971 5.5943 O
7.4137 13.2369 19.8532 O
7.4331 8.3935 5.1501 O
7.6786 3.3690 5.5606 O
7.6692 8.2017 20.1892 O
7.7201 1.4161 4.1961 O
7.7158 1.3137 19.8604 O
7.7250 3.2939 21.1550 O
7.7261 8.0661 13.8884 O
7.7301 6.1622 12.4971 O
7.7265 13.0772 12.8108 O
7.7561 11.0473 5.1850 O
7.7472 11.1557 11.4676 O
7.7577 6.3268 18.7622 O
7.7651 12.9889 6.5963 O

NaHf3NbSi3S3O24 (PBE-GGA, relaxed); total magnetic moment = 0.00 μB/atom; energy of formation from the pure elements = -2.895 eV per atom
1.0
8.9140 0.0000 0.0000
-4.4281 7.7404 0.0000
-0.2399 -0.1475 23.2422
Na Hf Nb Si S O
3 9 3 9 9 72
Cartesian
0.0000 0.0000 0.0000 Na
0.1116 0.1977 11.7617 Na
0.2191 5.2822 3.8078 Na
-0.2821 0.0312 19.9802 Hf
-0.0947 0.1925 3.4899 Hf
-0.1506 0.2054 15.1884 Hf
0.0077 0.2506 8.2914 Hf
-0.0904 5.2786 12.3205 Hf
0.1436 5.4352 0.5348 Hf
4.3004 2.6293 11.1524 Hf
4.3482 2.7756 4.5171 Hf
4.3395 2.7922 22.6946 Hf
-0.1543 5.2851 18.9707 Nb
0.0416 5.4339 7.2888 Nb
4.2610 2.7630 16.2049 Nb
-1.4040 2.3525 17.5464 Si
-2.6832 5.3269 21.4153 Si
1.2400 2.4144 5.9012 Si
-1.3554 7.4759 9.8333 Si
1.8061 2.6336 13.6297 Si
1.1213 7.4906 21.4285 Si
3.2126 5.0286 2.0291 Si
3.0066 5.6894 17.5157 Si
6.3606 0.2346 5.9164 Si
-3.1436 5.6969 5.9142 S
-1.3177 3.1098 9.8083 S
2.4466 0.1171 17.5287 S
1.0994 3.0178 21.3920 S
3.1861 0.5494 2.0333 S
2.5108 5.3370 9.8117 S
5.6597 0.5066 13.6281 S
5.6280 4.9059 13.6492 S
7.0535 2.8006 2.0440 S
-0.7284 1.7344 9.7042 O
-3.3132 6.5556 4.7257 O
-0.6927 1.7221 16.2056 O
-3.5390 6.6942 21.2531 O
-1.8007 5.0252 13.5073 O
-1.0445 3.8993 8.6009 O
-0.9837 3.9895 1.9346 O
-1.7034 5.1372 20.0892 O
-2.9699 7.6349 9.6923 O
-0.6859 3.7037 11.0190 O
-1.6541 5.5337 6.0968 O
0.5549 1.7648 4.5909 O
-0.8189 3.8447 17.8355 O
-1.7770 5.4289 22.7618 O
0.5022 1.6875 21.2325 O
1.6204 -0.0876 16.3074 O
0.8757 1.3052 13.7676 O
0.9806 1.5073 7.2392 O
1.7142 0.3981 2.2055 O
1.6410 0.3888 18.7067 O
0.5422 3.9044 6.2215 O
0.4859 3.6139 22.6086 O
-1.0139 6.5477 11.1167 O
-1.1272 6.6656 17.6599 O
-0.7114 6.7073 8.4980 O
0.8706 3.8474 20.1860 O
-0.6373 6.9202 1.9599 O
0.9207 3.9796 13.4073 O
3.4628 1.3385 0.8385 O
3.3625 1.2939 17.2987 O
2.7971 2.4737 12.3266 O
2.8169 2.6736 5.7168 O
3.7679 1.1593 3.2673 O
2.5539 2.8874 21.5631 O
1.5738 5.1683 1.9855 O
2.7900 2.7920 14.9476 O
3.8154 1.1848 9.9604 O
0.5383 6.7143 20.0893 O
1.6987 5.1115 8.5731 O
0.6235 6.9057 13.4259 O
1.4323 5.4351 17.7957 O
0.9249 6.6143 6.1618 O
1.6384 5.5055 10.9898 O
0.9287 6.5072 22.7281 O
4.7900 1.1473 21.6655 O
3.3693 4.1383 9.9676 O
5.0870 1.1029 14.8324 O
3.5660 4.1532 3.3639 O
3.7947 4.2703 0.7147 O
3.6689 4.1558 17.2306 O
5.4343 1.4938 5.6352 O
5.4549 1.3540 12.4201 O
3.3607 6.5318 9.6777 O
2.8441 7.5838 4.6271 O
3.3240 6.5459 16.1708 O
7.1693 -0.0607 21.2952 O
7.2295 0.3083 7.2800 O
7.1332 0.3278 13.7283 O
5.9025 2.5115 17.1334 O
3.7733 6.2676 18.8039 O
3.9128 6.5242 2.1424 O
5.0766 4.2705 12.4341 O
6.2402 2.6099 0.8246 O
5.2169 4.3630 5.7355 O
5.2968 3.9940 21.5340 O
5.3782 4.0873 14.8564 O
6.2311 2.9331 3.2526 O
6.1422 3.0032 10.0170 O
7.7311 1.4024 18.8138 O
5.0434 6.2562 13.7714 O
7.9271 1.5746 2.1391 O
5.1900 6.3066 7.1333 O

RbCu2O10 (PBE-GGA, relaxed); total magnetic moment = 0.23 μB/atom; energy of formation from the pure elements = -0.251 eV per atom
1.0
4.7378 -3.1777 0.0000
4.7378 3.1777 0.0000
-4.1751 0.0000 7.1077
Rb Cu O
1 2 10
Cartesian
0.0000 0.0000 0.0000 Rb
0.2813 1.5888 3.5538 Cu
0.2813 -1.5888 3.5538 Cu
-0.6667 1.1615 5.1973 O
-0.1587 0.0000 2.8008 O
-0.1988 0.0000 5.7948 O
-0.6667 -1.1615 5.1973 O
2.2937 0.0000 4.0656 O
3.0067 0.0000 3.0421 O
5.9671 1.1615 1.9104 O
5.4992 0.0000 1.3129 O
5.4591 0.0000 4.3069 O
5.9671 -1.1615 1.9104 O

GaAgS2 (PBE-GGA, relaxed); total magnetic moment = 0.00 μB/atom; energy of formation from the pure elements = -0.582 eV per atom
1.0
3.6152 0.0000 0.0000
-1.8076 3.1308 0.0000
0.0000 0.0000 20.8004
Ga Ag S
3 3 6
Cartesian
0.0000 0.0000 0.0000 Ga
0.0000 2.0872 13.8669 Ga
1.8076 1.0436 6.9335 Ga
0.0000 0.0000 17.5596 Ag
0.0000 2.0872 10.6261 Ag
1.8076 1.0436 3.6927 Ag
0.0000 0.0000 5.4867 S
0.0000 0.0000 15.1315 S
0.0000 2.0872 8.1980 S
0.0000 2.0872 19.3536 S
1.8076 1.0436 1.2645 S
1.8076 1.0436 12.4202 S

Sm6Ge3Se14 (PBE-GGA, relaxed); energy of formation from the pure elements = -1.603 eV per atom
1.0
10.6010 0.0000 0.0000
-5.3005 9.1808 0.0000
0.0000 0.0000 6.0650
Sm Ge Se
6 3 14
Cartesian
-2.7139 5.1460 0.0000 Sm
2.7166 0.9799 3.0413 Sm
2.2009 4.2575 0.0000 Sm
0.5130 8.9580 0.0000 Sm
4.7908 6.3382 3.0413 Sm
8.3941 1.8627 3.0413 Sm
0.0000 0.0000 5.5796 Ge
0.0000 6.1205 2.5365 Ge
5.3005 3.0602 1.6079 Ge
0.0000 0.0000 1.8663 Se
-3.5997 7.7983 4.5804 Se
0.3468 2.1641 4.5804 Se
-0.3491 3.9611 1.5352 Se
-1.6955 7.5025 1.5352 Se
0.0000 6.1205 4.8896 Se
3.4201 1.5762 0.1497 Se
3.0590 3.9237 3.1429 Se
2.0446 6.8979 1.5352 Se
5.6735 0.6873 3.1429 Se
4.9555 5.4308 0.1497 Se
3.2529 8.3991 4.5804 Se
7.5259 2.1738 0.1497 Se
7.1691 4.5697 3.1429 Se